Below is a relaxed Al4Si2Ni13Sb2O28 crystal, with properties calculated at the PBE with a Hubbard U level.

The structure in POSCAR format:
```
Al4Si2Ni13Sb2O28
1.0
11.3053 2.7186 0.0000
-11.3053 2.7186 0.0000
0.0000 1.6351 8.6382
O Si Al Ni Sb
28 2 4 13 2
Direct
0.2741 0.1253 0.8814 O
0.6850 0.9828 0.3996 O
0.4230 0.1359 0.1223 O
0.3822 0.8274 0.6346 O
0.1726 0.6178 0.3654 O
0.7259 0.8747 0.1186 O
0.9828 0.6850 0.3996 O
0.5770 0.8641 0.8777 O
0.3150 0.0172 0.6004 O
0.4079 0.2877 0.3835 O
0.6178 0.1726 0.3654 O
0.4066 0.9868 0.8824 O
0.9339 0.9339 0.3554 O
0.8274 0.3822 0.6346 O
0.3104 0.3104 0.1203 O
0.9868 0.4066 0.8824 O
0.1359 0.4230 0.1223 O
0.5934 0.0132 0.1176 O
0.5921 0.7123 0.6165 O
0.8747 0.7259 0.1186 O
0.8641 0.5770 0.8777 O
0.7123 0.5921 0.6165 O
0.0172 0.3150 0.6004 O
0.2877 0.4079 0.3835 O
0.6896 0.6896 0.8797 O
0.0132 0.5934 0.1176 O
0.1253 0.2741 0.8814 O
0.0661 0.0661 0.6446 O
0.2368 0.2368 0.3101 Si
0.7632 0.7632 0.6899 Si
0.5096 0.9390 0.3277 Al
0.4904 0.0610 0.6723 Al
0.9390 0.5096 0.3277 Al
0.0610 0.4904 0.6723 Al
0.4280 0.5720 0.0000 Ni
0.2873 0.7127 0.0000 Ni
0.7127 0.2873 0.0000 Ni
0.5720 0.4280 0.0000 Ni
0.3600 0.0723 0.3591 Ni
0.0000 0.0000 0.0000 Ni
0.2074 0.3461 0.6477 Ni
0.6539 0.7926 0.3523 Ni
0.9277 0.6400 0.6409 Ni
0.7926 0.6539 0.3523 Ni
0.0723 0.3600 0.3591 Ni
0.3461 0.2074 0.6477 Ni
0.6400 0.9277 0.6409 Ni
0.8598 0.1402 0.0000 Sb
0.1402 0.8598 0.0000 Sb
```

Results
Space group ... C2/m, No. 12
Crystal system ... monoclinic
Formation enthalpy at 0 K ... -2.019 eV per atom

Below is a relaxed Al2Si3Ni3O12 crystal, with properties calculated at the PBE with a Hubbard U level.

The structure in POSCAR format:
```
Al2Si3Ni3O12
1.0
8.0662 -1.7005 5.7256
1.5861 8.1153 -5.6890
-8.0006 1.5357 5.8626
O Si Al Ni
48 12 8 12
Direct
0.5803 0.1855 0.2017 O
0.8145 0.5162 0.3948 O
0.2017 0.5803 0.1855 O
0.6052 0.1855 0.4838 O
0.4838 0.3786 0.2983 O
0.7983 0.4197 0.8145 O
0.3145 0.9197 0.2983 O
0.5162 0.3948 0.8145 O
0.6214 0.7017 0.5162 O
0.5162 0.6214 0.7017 O
0.3786 0.2983 0.4838 O
0.4838 0.6052 0.1855 O
0.6855 0.0803 0.7017 O
0.6052 0.9197 0.1214 O
0.0162 0.3145 0.8948 O
0.0803 0.7017 0.6855 O
0.9838 0.7983 0.8786 O
0.8786 0.3948 0.0803 O
0.8786 0.9838 0.7983 O
0.6214 0.4197 0.1052 O
0.7017 0.5162 0.6214 O
0.8145 0.7983 0.4197 O
0.8948 0.3786 0.5803 O
0.1855 0.2017 0.5803 O
0.2983 0.3145 0.9197 O
0.3145 0.8948 0.0162 O
0.7017 0.6855 0.0803 O
0.0803 0.8786 0.3948 O
0.3786 0.5803 0.8948 O
0.3948 0.8145 0.5162 O
0.1052 0.6214 0.4197 O
0.4197 0.1052 0.6214 O
0.9197 0.2983 0.3145 O
0.9197 0.1214 0.6052 O
0.0162 0.2017 0.1214 O
0.3948 0.0803 0.8786 O
0.4197 0.8145 0.7983 O
0.2017 0.1214 0.0162 O
0.2983 0.4838 0.3786 O
0.8948 0.0162 0.3145 O
0.6855 0.1052 0.9838 O
0.1214 0.6052 0.9197 O
0.9838 0.6855 0.1052 O
0.5803 0.8948 0.3786 O
0.1855 0.4838 0.6052 O
0.1052 0.9838 0.6855 O
0.7983 0.8786 0.9838 O
0.1214 0.0162 0.2017 O
0.1250 0.7500 0.8750 Si
0.6250 0.7500 0.3750 Si
0.6250 0.3750 0.2500 Si
0.3750 0.2500 0.6250 Si
0.8750 0.2500 0.1250 Si
0.2500 0.6250 0.3750 Si
0.7500 0.8750 0.1250 Si
0.2500 0.1250 0.8750 Si
0.1250 0.8750 0.2500 Si
0.7500 0.3750 0.6250 Si
0.8750 0.1250 0.7500 Si
0.3750 0.6250 0.7500 Si
0.0000 0.0000 0.0000 Al
0.5000 0.5000 0.0000 Al
0.0000 0.5000 0.5000 Al
0.0000 0.5000 0.0000 Al
0.5000 0.0000 0.0000 Al
0.5000 0.5000 0.5000 Al
0.0000 0.0000 0.5000 Al
0.5000 0.0000 0.5000 Al
0.1250 0.3750 0.7500 Ni
0.6250 0.2500 0.8750 Ni
0.8750 0.7500 0.6250 Ni
0.1250 0.2500 0.3750 Ni
0.7500 0.1250 0.3750 Ni
0.3750 0.1250 0.2500 Ni
0.6250 0.8750 0.7500 Ni
0.2500 0.8750 0.6250 Ni
0.2500 0.3750 0.1250 Ni
0.8750 0.6250 0.2500 Ni
0.7500 0.6250 0.8750 Ni
0.3750 0.7500 0.1250 Ni
```

Results
Space group ... Ia-3d, No. 230
Crystal system ... cubic
Formation enthalpy at 0 K ... -2.597 eV per atom

Below is a relaxed Sr2YAlNi2O7 crystal, with properties calculated at the PBE with a Hubbard U level.

The structure in POSCAR format:
```
Sr2YAlNi2O7
1.0
-2.7614 2.8251 10.9799
2.7614 -2.8251 10.9799
2.7614 2.8251 -10.9799
O Ni Sr Al Y
14 4 4 2 2
Direct
0.6251 0.1339 0.4019 O
0.3749 0.7768 0.5089 O
0.2320 0.6339 0.5089 O
0.0932 0.0780 0.6712 O
0.1893 0.6527 0.9793 O
0.7680 0.2768 0.4019 O
0.3041 0.8028 0.9791 O
0.1734 0.1527 0.4634 O
0.6959 0.6750 0.4987 O
0.6764 0.1750 0.9791 O
0.3236 0.3028 0.4987 O
0.9068 0.5780 0.9848 O
0.8107 0.7900 0.4634 O
0.8266 0.2900 0.9793 O
0.9166 0.3958 0.4810 Ni
0.0834 0.5644 0.4792 Ni
0.4148 0.8958 0.4792 Ni
0.5852 0.0644 0.4810 Ni
0.8306 0.8329 0.9643 Sr
0.6314 0.6337 0.9643 Sr
0.3686 0.3329 0.0023 Sr
0.1694 0.1337 0.0023 Sr
0.8294 0.2612 0.5907 Al
0.1706 0.7612 0.4318 Al
0.5000 0.4828 0.9828 Y
0.0000 0.9828 0.9828 Y
```

Results
Space group ... Ima2, No. 46
Crystal system ... orthorhombic
Formation enthalpy at 0 K ... -2.725 eV per atom

Below is a relaxed RbAlVP2O10 crystal, with properties calculated at the PBE with a Hubbard U level.

The structure in POSCAR format:
```
RbAlVP2O10
1.0
7.9171 0.0000 0.0000
0.0000 8.2940 0.0000
-4.2984 0.0000 13.7001
O V P Rb Al
40 4 8 4 4
Direct
0.6031 0.7786 0.9665 O
0.6031 0.7214 0.4665 O
0.8410 0.4869 0.5837 O
0.1697 0.0551 0.1200 O
0.4430 0.6169 0.5806 O
0.8303 0.9449 0.8800 O
0.3702 0.3626 0.8700 O
0.3702 0.1374 0.3700 O
0.9825 0.2129 0.6360 O
0.9292 0.5746 0.0639 O
0.4430 0.8831 0.0806 O
0.7047 0.3314 0.1987 O
0.9723 0.9436 0.7444 O
0.6536 0.1167 0.5064 O
0.9723 0.5564 0.2444 O
0.6298 0.6374 0.1300 O
0.0277 0.0564 0.2556 O
0.0175 0.7871 0.3640 O
0.1697 0.4449 0.6200 O
0.7047 0.1686 0.6987 O
0.3969 0.2786 0.5335 O
0.8303 0.5551 0.3800 O
0.0708 0.0746 0.4361 O
0.3464 0.8833 0.4936 O
0.0175 0.7129 0.8640 O
0.3969 0.2214 0.0335 O
0.5570 0.1169 0.9194 O
0.1590 0.9869 0.9163 O
0.2953 0.8314 0.3013 O
0.6298 0.8626 0.6300 O
0.0277 0.4436 0.7556 O
0.6536 0.3833 0.0064 O
0.2953 0.6686 0.8013 O
0.3464 0.6167 0.9936 O
0.9292 0.9254 0.5639 O
0.1590 0.5131 0.4163 O
0.9825 0.2871 0.1360 O
0.5570 0.3831 0.4194 O
0.0708 0.4254 0.9361 O
0.8410 0.0131 0.0837 O
0.2000 0.5487 0.8639 V
0.2000 0.9513 0.3639 V
0.8000 0.0487 0.6361 V
0.8000 0.4513 0.1361 V
0.5069 0.7733 0.5413 P
0.4931 0.2733 0.9587 P
0.9960 0.6039 0.3515 P
0.9960 0.8961 0.8515 P
0.5069 0.7267 0.0413 P
0.0040 0.1039 0.1485 P
0.4931 0.2267 0.4587 P
0.0040 0.3961 0.6485 P
0.6845 0.9711 0.3014 Rb
0.3155 0.0289 0.6986 Rb
0.3155 0.4711 0.1986 Rb
0.6845 0.5289 0.8014 Rb
0.2851 0.0375 0.0350 Al
0.7149 0.9625 0.9650 Al
0.7149 0.5375 0.4650 Al
0.2851 0.4625 0.5350 Al
```

Results
Space group ... P2_1/c, No. 14
Crystal system ... monoclinic
Formation enthalpy at 0 K ... -2.579 eV per atom

Below is a relaxed Al4V13Si2Sb2O28 crystal, with properties calculated at the PBE with a Hubbard U level.

The structure in POSCAR format:
```
Al4V13Si2Sb2O28
1.0
-4.6998 0.6262 -3.0348
2.7976 -3.1730 -7.8513
-5.9608 -10.4545 1.6621
O V Si Sb Al
28 13 2 2 4
Direct
0.4964 0.1209 0.7108 O
0.7146 0.1135 0.1447 O
0.3259 0.1269 0.9971 O
0.7188 0.6088 0.8875 O
0.0549 0.6560 0.0003 O
0.4435 0.8787 0.5632 O
0.2860 0.8866 0.8538 O
0.9803 0.3876 0.6954 O
0.8312 0.8787 0.7202 O
0.2809 0.3912 0.1128 O
0.9442 0.3459 0.0000 O
0.3765 0.6293 0.4510 O
0.0202 0.6112 0.3049 O
0.9990 0.8772 0.4447 O
0.6089 0.6098 0.1199 O
0.8247 0.6278 0.5533 O
0.1750 0.3733 0.4474 O
0.5138 0.8794 0.2895 O
0.6819 0.3909 0.3046 O
0.3907 0.3904 0.8806 O
0.0012 0.1221 0.5536 O
0.5525 0.1212 0.4398 O
0.3184 0.6074 0.6959 O
0.1535 0.8875 0.1360 O
0.1782 0.1214 0.2798 O
0.6710 0.8731 0.0031 O
0.8433 0.1128 0.8662 O
0.6241 0.3713 0.5493 O
0.2113 0.6482 0.1364 V
0.0838 0.3619 0.2885 V
0.5757 0.9989 0.8520 V
0.9175 0.6372 0.7118 V
0.7881 0.3518 0.8641 V
0.4241 0.0019 0.1481 V
0.6308 0.6422 0.2937 V
0.9997 0.9996 0.0001 V
0.2884 0.9986 0.4261 V
0.6519 0.3533 0.1408 V
0.7122 0.0008 0.5742 V
0.3708 0.3566 0.7067 V
0.3477 0.6468 0.8593 V
0.2376 0.3144 0.9975 Si
0.7615 0.6858 0.0028 Si
0.8653 0.9972 0.2779 Sb
0.1321 0.0053 0.7225 Sb
0.5030 0.3280 0.4346 Al
0.9386 0.3276 0.5626 Al
0.4966 0.6717 0.5663 Al
0.0619 0.6714 0.4376 Al
```

Results
Energy relative to the lowest polymorph listed for this composition ... 0.000 eV/atom
Space group ... P1, No. 1
Crystal system ... triclinic
Formation enthalpy at 0 K ... -2.466 eV per atom

Below is a relaxed Al4V13Si2Sb2O28 crystal, with properties calculated at the PBE with a Hubbard U level.

The structure in POSCAR format:
```
Al4V13Si2Sb2O28
1.0
5.6210 0.0000 0.0000
1.5873 8.7944 0.0000
2.7616 0.0817 11.7863
O Si Al V Sb
28 2 4 13 2
Direct
0.0174 0.6097 0.3033 O
0.7200 0.6096 0.8837 O
0.8497 0.1139 0.8641 O
0.3179 0.1275 0.0019 O
0.0567 0.6495 0.9997 O
0.3239 0.6083 0.6962 O
0.6051 0.6094 0.1153 O
0.1730 0.3726 0.4499 O
0.5596 0.1228 0.4325 O
0.0095 0.8789 0.4351 O
0.6265 0.3671 0.5512 O
0.8238 0.6333 0.5506 O
0.8232 0.8783 0.7195 O
0.4624 0.1214 0.7224 O
0.9414 0.3493 0.0001 O
0.0141 0.1210 0.5663 O
0.3784 0.6263 0.4484 O
0.2873 0.8851 0.8679 O
0.4180 0.8789 0.5610 O
0.3929 0.3909 0.8854 O
0.5316 0.8788 0.2801 O
0.1478 0.8863 0.1370 O
0.7118 0.1136 0.1347 O
0.1827 0.1203 0.2884 O
0.6815 0.8727 0.9995 O
0.6781 0.3922 0.3034 O
0.9826 0.3920 0.6970 O
0.2756 0.3901 0.1174 O
0.2348 0.3148 0.0011 Si
0.7627 0.6854 0.9994 Si
0.4945 0.6734 0.5644 Al
0.5033 0.3286 0.4349 Al
0.9412 0.3267 0.5660 Al
0.0626 0.6724 0.4345 Al
0.2854 0.0013 0.4251 V
0.6525 0.3520 0.1378 V
0.6294 0.6408 0.2895 V
0.5712 0.0013 0.8535 V
0.4284 0.9982 0.1475 V
0.7904 0.3511 0.8612 V
0.2080 0.6483 0.1381 V
0.0783 0.3592 0.2917 V
0.3717 0.3580 0.7109 V
0.3449 0.6487 0.8623 V
0.0013 0.9999 0.9987 V
0.9214 0.6411 0.7103 V
0.7118 0.0002 0.5736 V
0.1371 0.9984 0.7167 Sb
0.8596 0.0001 0.2797 Sb
```

Results
Energy relative to the lowest polymorph listed for this composition ... 0.005 eV/atom
Space group ... P1, No. 1
Crystal system ... triclinic
Formation enthalpy at 0 K ... -2.461 eV per atom

Below is a relaxed Al2V3Si3O12 crystal, with properties calculated at the PBE with a Hubbard U level.

The structure in POSCAR format:
```
Al2V3Si3O12
1.0
-5.8798 5.8798 5.8798
5.8798 -5.8798 5.8798
5.8798 5.8798 -5.8798
O Si V Al
48 12 12 8
Direct
0.8004 0.4186 0.8127 O
0.9877 0.6873 0.1059 O
0.3818 0.3004 0.4877 O
0.1873 0.1996 0.5814 O
0.3941 0.0814 0.8818 O
0.6059 0.1873 0.4877 O
0.3004 0.3127 0.9186 O
0.9186 0.1182 0.6059 O
0.8941 0.0123 0.3127 O
0.6873 0.1059 0.9877 O
0.1996 0.5814 0.1873 O
0.6182 0.4186 0.1059 O
0.8818 0.3941 0.0814 O
0.3004 0.4877 0.3818 O
0.1182 0.0123 0.1996 O
0.6873 0.0814 0.6996 O
0.6996 0.6873 0.0814 O
0.4186 0.1059 0.6182 O
0.1182 0.6059 0.9186 O
0.4877 0.6059 0.1873 O
0.8941 0.3818 0.5814 O
0.3127 0.9186 0.3004 O
0.1873 0.4877 0.6059 O
0.8127 0.8004 0.4186 O
0.9186 0.3004 0.3127 O
0.6182 0.6996 0.5123 O
0.4186 0.8127 0.8004 O
0.0123 0.1996 0.1182 O
0.0814 0.6996 0.6873 O
0.3127 0.8941 0.0123 O
0.9877 0.8004 0.8818 O
0.5814 0.1873 0.1996 O
0.8127 0.5123 0.3941 O
0.0123 0.3127 0.8941 O
0.5814 0.8941 0.3818 O
0.3818 0.5814 0.8941 O
0.5123 0.6182 0.6996 O
0.4877 0.3818 0.3004 O
0.6996 0.5123 0.6182 O
0.1059 0.9877 0.6873 O
0.8004 0.8818 0.9877 O
0.1996 0.1182 0.0123 O
0.3941 0.8127 0.5123 O
0.5123 0.3941 0.8127 O
0.0814 0.8818 0.3941 O
0.6059 0.9186 0.1182 O
0.1059 0.6182 0.4186 O
0.8818 0.9877 0.8004 O
0.7500 0.8750 0.1250 Si
0.2500 0.6250 0.3750 Si
0.8750 0.1250 0.7500 Si
0.1250 0.7500 0.8750 Si
0.6250 0.7500 0.3750 Si
0.1250 0.8750 0.2500 Si
0.3750 0.6250 0.7500 Si
0.3750 0.2500 0.6250 Si
0.7500 0.3750 0.6250 Si
0.2500 0.1250 0.8750 Si
0.8750 0.2500 0.1250 Si
0.6250 0.3750 0.2500 Si
0.1250 0.2500 0.3750 V
0.6250 0.8750 0.7500 V
0.8750 0.6250 0.2500 V
0.2500 0.3750 0.1250 V
0.3750 0.1250 0.2500 V
0.7500 0.1250 0.3750 V
0.3750 0.7500 0.1250 V
0.6250 0.2500 0.8750 V
0.8750 0.7500 0.6250 V
0.2500 0.8750 0.6250 V
0.1250 0.3750 0.7500 V
0.7500 0.6250 0.8750 V
0.5000 0.0000 0.5000 Al
0.5000 0.5000 0.5000 Al
0.5000 0.5000 0.0000 Al
0.0000 0.5000 0.5000 Al
0.0000 0.5000 0.0000 Al
0.0000 0.0000 0.5000 Al
0.0000 0.0000 0.0000 Al
0.5000 0.0000 0.0000 Al
```

Results
Space group ... Ia-3d, No. 230
Crystal system ... cubic
Formation enthalpy at 0 K ... -2.888 eV per atom